A plane-wave DFT calculation with PBE-GGA was carried out for a geometry-optimized TiCr2 structure.

Lattice parameters (Å, degrees): 4.854 4.854 4.854 60.00 60.00 60.00
Element x y z (fractional)
Ti 0.500 0.500 0.500
Ti 0.250 0.250 0.250
Cr 0.875 0.875 0.375
Cr 0.875 0.875 0.875
Cr 0.375 0.875 0.875
Cr 0.875 0.375 0.875

Summary:
As for the symmetry: No. 227. As for the relative energy among the computed polymorphs: 0 meV/atom. Its formation energy is -0.11 eV/atom.